Record 1
Here is a relaxed structure of NaSrHfBiO6 from the Materials Project. Energies are from PBE-GGA.

a = 8.3091 Å, b = 8.3091 Å, c = 8.3091 Å
α = 90.00°, β = 90.00°, γ = 90.00°
Space group F-43m (No. 216)
Inequivalent atoms, fractional coordinates:
1 Na 0.0000 0.0000 0.0000 x4
2 Sr 0.0000 0.0000 0.5000 x4
3 Hf 0.2500 0.2500 0.7500 x4
4 Bi 0.2500 0.2500 0.2500 x4
5 O 0.0026 0.2500 0.7500 x24

**E**: -0.2519 Ha/atom
**Calculated volume**: 14.34 Å³/atom
**Crystal system**: cubic



Record 2
Here is a relaxed structure of NbCo3 from the Materials Project. Energies are from PBE-GGA.

a = 5.2014 Å, b = 5.2014 Å, c = 4.1608 Å
α = 90.00°, β = 90.00°, γ = 120.00°
Space group P6_3/mmc (No. 194)
Inequivalent atoms, fractional coordinates:
1 Nb 0.3333 0.6667 0.2500 x2
2 Co 0.1575 0.3149 0.7500 x6

**E**: -0.2946 Ha/atom
**Calculated volume**: 12.19 Å³/atom
**Crystal system**: hexagonal



Which of these has the highest E?
NaSrHfBiO6



calculated volume of number 1 (NaSrHfBiO6)?
14.34 Å³/atom



Among the records above, which one has the highest calculated volume?
NaSrHfBiO6



Which of these has the highest calculated volume?
NaSrHfBiO6